DFT (PBE) results for a relaxed Na14Zr6Zn2Si9S3O48 crystal.

Lattice parameters (Å, degrees): 18.485 9.261 22.920 90.12 90.13 120.04
Element x y z (fractional)
O: 0.600 0.028 0.588
O: 0.989 0.167 0.588
O: 0.175 0.480 0.077
O: 0.672 0.868 0.580
O: 0.564 0.483 0.580
O: 0.986 0.170 0.303
O: 0.076 0.688 0.474
O: 0.242 0.171 0.245
O: 0.410 0.996 0.410
O: 0.410 0.021 0.809
O: 0.427 0.306 0.531
O: 0.676 0.497 0.078
O: 0.916 0.300 0.531
O: 0.780 0.853 0.478
O: 0.757 0.877 0.362
O: 0.227 0.311 0.029
O: 0.395 0.965 0.694
O: 0.318 0.520 0.645
O: 0.491 0.189 0.303
O: 0.989 0.799 0.086
O: 0.759 0.835 0.757
O: 0.918 0.808 0.590
O: 0.440 0.351 0.638
O: 0.894 0.823 0.192
O: 0.587 0.697 0.757
O: 0.757 0.641 0.859
O: 0.155 0.833 0.253
O: 0.149 0.853 0.976
O: 0.914 0.028 0.804
O: 0.248 0.839 0.077
O: 0.578 0.460 0.254
O: 0.853 0.167 0.029
O: 0.517 0.825 0.693
O: 0.747 0.650 0.581
O: 0.082 0.461 0.979
O: 0.090 0.971 0.188
O: 0.009 0.837 0.413
O: 0.564 0.632 0.361
O: 0.326 0.153 0.424
O: 0.393 0.821 0.190
O: 0.582 0.183 0.408
O: 0.415 0.533 0.029
O: 0.735 0.116 0.638
O: 0.425 0.309 0.247
O: 0.236 0.357 0.136
O: 0.082 0.980 0.909
O: 0.014 0.812 0.698
O: 0.065 0.645 0.079
O: 0.927 0.542 0.748
O: 0.656 0.859 0.970
O: 0.593 0.168 0.090
O: 0.827 0.500 0.924
O: 0.247 0.114 0.645
O: 0.015 0.198 0.914
O: 0.311 0.114 0.142
O: 0.271 0.849 0.475
O: 0.928 0.548 0.030
O: 0.248 0.155 0.924
O: 0.441 0.508 0.144
O: 0.419 0.519 0.746
O: 0.414 0.801 0.302
O: 0.564 0.480 0.858
O: 0.590 0.976 0.912
O: 0.352 0.537 0.530
O: 0.757 0.684 0.254
O: 0.748 0.350 0.424
O: 0.743 0.314 0.746
O: 0.941 0.529 0.136
O: 0.894 0.964 0.692
O: 0.488 0.178 0.587
O: 0.101 0.176 0.086
O: 0.992 0.794 0.804
O: 0.252 0.648 0.576
O: 0.845 0.520 0.246
O: 0.418 0.024 0.088
O: 0.599 0.022 0.307
O: 0.420 0.820 0.587
O: 0.944 0.375 0.646
O: 0.344 0.517 0.244
O: 0.642 0.439 0.476
O: 0.814 0.510 0.645
O: 0.574 0.653 0.075
O: 0.741 0.127 0.921
O: 0.158 0.456 0.470
O: 0.276 0.694 0.971
O: 0.065 0.645 0.358
O: 0.578 0.698 0.479
O: 0.100 0.032 0.302
O: 0.771 0.692 0.974
O: 0.921 0.020 0.087
O: 0.488 0.810 0.088
O: 0.088 0.479 0.256
O: 0.725 0.142 0.532
O: 0.504 0.174 0.913
O: 0.243 0.360 0.421
O: 0.346 0.152 0.027
O: 0.486 0.803 0.806
O: 0.398 0.817 0.911
O: 0.587 0.970 0.193
O: 0.092 0.207 0.412
O: 0.650 0.820 0.254
O: 0.177 0.854 0.578
O: 0.239 0.316 0.750
O: 0.258 0.873 0.359
O: 0.845 0.534 0.529
O: 0.079 0.695 0.756
O: 0.259 0.683 0.255
O: 0.067 0.498 0.863
O: 0.177 0.477 0.364
O: 0.259 0.827 0.756
O: 0.153 0.480 0.758
O: 0.234 0.167 0.531
O: 0.429 0.490 0.424
O: 0.655 0.477 0.753
O: 0.910 0.796 0.306
O: 0.682 0.492 0.361
O: 0.346 0.169 0.748
O: 0.738 0.160 0.250
O: 0.575 0.461 0.974
O: 0.318 0.510 0.922
O: 0.512 0.211 0.197
O: 0.514 0.831 0.413
O: 0.100 0.175 0.809
O: 0.927 0.510 0.420
O: 0.817 0.143 0.424
O: 0.185 0.876 0.862
O: 0.018 0.214 0.191
O: 0.075 0.497 0.576
O: 0.931 0.371 0.924
O: 0.919 0.320 0.245
O: 0.676 0.877 0.864
O: 0.086 0.206 0.694
O: 0.425 0.345 0.921
O: 0.752 0.856 0.075
O: 0.844 0.171 0.745
O: 0.734 0.301 0.030
O: 0.261 0.643 0.865
O: 0.601 0.173 0.802
O: 0.589 0.207 0.690
O: 0.747 0.378 0.144
O: 0.910 0.824 0.910
O: 0.094 0.020 0.592
O: 0.909 0.981 0.411
O: 0.818 0.118 0.143
Zr: 0.843 0.347 0.477
Zr: 0.497 0.990 0.653
Zr: 0.497 0.979 0.356
Zr: 0.996 0.015 0.856
Zr: 0.996 0.003 0.154
Zr: 0.829 0.323 0.980
Zr: 0.997 0.008 0.645
Zr: 0.166 0.679 0.313
Zr: 0.671 0.677 0.320
Zr: 0.998 0.996 0.350
Zr: 0.168 0.679 0.519
Zr: 0.504 0.010 0.848
Zr: 0.330 0.336 0.480
Zr: 0.666 0.653 0.813
Zr: 0.668 0.657 0.019
Zr: 0.166 0.669 0.816
Zr: 0.342 0.330 0.981
Zr: 0.498 0.987 0.146
Na: 0.170 0.662 0.662
Na: 0.992 0.349 0.743
Na: 0.991 0.999 0.995
Na: 0.828 0.322 0.829
Na: 0.827 0.950 0.575
Na: 0.494 0.634 0.248
Na: 0.492 0.367 0.748
Na: 0.157 0.961 0.084
Na: 0.658 0.357 0.579
Na: 0.673 0.667 0.663
Na: 0.669 0.032 0.416
Na: 0.196 0.029 0.745
Na: 0.830 0.694 0.087
Na: 0.985 0.670 0.919
Na: 0.656 0.973 0.089
Na: 0.318 0.616 0.741
Na: 0.813 0.622 0.742
Na: 0.695 0.366 0.249
Na: 0.011 0.692 0.580
Na: 0.329 0.335 0.330
Na: 0.998 0.996 0.496
Na: 0.513 0.331 0.084
Na: 0.350 0.038 0.915
Na: 0.313 0.004 0.245
Na: 0.163 0.293 0.916
Na: 0.155 0.338 0.586
Na: 0.836 0.330 0.328
Na: 0.331 0.704 0.084
Na: 0.991 0.618 0.252
Na: 0.488 0.304 0.419
Na: 0.507 0.013 0.002
Na: 0.818 0.018 0.247
Na: 0.671 0.678 0.168
Na: 0.848 0.670 0.419
Na: 0.493 0.985 0.494
Na: 0.014 0.335 0.079
Na: 0.171 0.676 0.169
Na: 0.338 0.337 0.823
Na: 0.330 0.966 0.584
Na: 0.690 0.012 0.747
Na: 0.188 0.365 0.250
Na: 0.517 0.693 0.574
Si: 0.500 0.702 0.751
Si: 0.166 0.964 0.918
Si: 0.335 0.628 0.586
Si: 0.851 0.003 0.749
Si: 0.351 0.001 0.751
Si: 0.522 0.661 0.421
Si: 0.836 0.043 0.085
Si: 0.818 0.967 0.420
Si: 0.849 0.697 0.250
Si: 0.651 0.295 0.746
Si: 0.979 0.338 0.586
Si: 0.022 0.382 0.922
Si: 0.022 0.674 0.416
Si: 0.665 0.369 0.418
Si: 0.689 0.333 0.087
Si: 0.351 0.699 0.248
Si: 0.146 0.294 0.752
Si: 0.189 0.044 0.587
Si: 0.315 0.965 0.417
Si: 0.520 0.368 0.916
Si: 0.329 0.029 0.086
Si: 0.814 0.663 0.917
Si: 0.479 0.622 0.086
Si: 0.646 0.996 0.251
Si: 0.000 0.299 0.250
Si: 0.149 0.008 0.248
Si: 0.829 0.623 0.587
S: 0.665 0.957 0.917
S: 0.166 0.375 0.416
S: 0.980 0.627 0.084
S: 0.480 0.333 0.585
S: 0.314 0.667 0.918
S: 0.501 0.291 0.251
S: 0.685 0.039 0.584
S: 0.001 0.710 0.752
S: 0.186 0.333 0.083
Zn: 0.334 0.330 0.182
Zn: 0.165 0.681 0.010
Zn: 0.823 0.314 0.188
Zn: 0.323 0.332 0.686
Zn: 0.834 0.336 0.679
Zn: 0.674 0.663 0.503

Values from the calculation:
The value obtained for the total DFT energy (no corrections) is -6.94 eV/atom. For the calculated formation energy, the calculation gives -2818 meV per atom. The value obtained for the spin magnetization is 0.00 μB per cell. Its space-group type is P1, No. 1. Its theoretical density is 3.1 Mg/m³.